## Ho5Mg (PBE)

Data for a geometry-optimized Ho5Mg structure.

The structure in POSCAR format:
```
Ho5Mg
1.0
-2.323 4.101 -4.567
-5.921 2.825 0.198
-1.036 6.414 0.936
Ho Mg
5 1
Cartesian
-2.990 7.883 -1.468 Ho
-5.856 6.239 -0.106 Ho
-5.076 5.889 -3.577 Ho
-3.082 4.430 -1.140 Ho
-6.199 8.910 -2.293 Ho
0.000 0.000 0.000 Mg
```

Space group: R32, No. 155
Energy relative to the lowest polymorph listed for this composition: 0.00 eV per formula unit
Energy of formation from the pure elements: 0.1 eV per formula unit
Raw total energy: -4.07 eV per atom
Crystal system: trigonal
Volume: 29.8 A^3/atom